No. 1
DFT (GGA-PBE) results for a geometry-optimized NdErFe14B structure.

Unit cell a=8.7592 b=8.7592 c=12.0018 alpha=90.00 beta=90.00 gamma=90.00
Sites, in units of the cell vectors:
Nd: 0.2336 0.2336 0.0000
Nd: 0.2664 0.7336 0.5000
Nd: 0.7336 0.2664 0.5000
Nd: 0.7664 0.7664 0.0000
Er: 0.1449 0.1449 0.5000
Er: 0.3551 0.6449 0.0000
Er: 0.6449 0.3551 0.0000
Er: 0.8551 0.8551 0.5000
Fe: 0.0000 0.0000 0.1173
Fe: 0.0000 0.0000 0.8827
Fe: 0.0000 0.5000 0.0000
Fe: 0.0000 0.5000 0.5000
Fe: 0.0355 0.6407 0.3248
Fe: 0.0355 0.6407 0.6752
Fe: 0.0680 0.7250 0.1277
Fe: 0.0680 0.7250 0.8723
Fe: 0.0968 0.9032 0.3007
Fe: 0.0968 0.9032 0.6993
Fe: 0.1407 0.4645 0.1752
Fe: 0.1407 0.4645 0.8248
Fe: 0.1823 0.1823 0.2472
Fe: 0.1823 0.1823 0.7528
Fe: 0.2250 0.4320 0.3723
Fe: 0.2250 0.4320 0.6277
Fe: 0.2750 0.9320 0.1277
Fe: 0.2750 0.9320 0.8723
Fe: 0.3177 0.6823 0.2528
Fe: 0.3177 0.6823 0.7472
Fe: 0.3593 0.9645 0.3248
Fe: 0.3593 0.9645 0.6752
Fe: 0.4032 0.4032 0.1993
Fe: 0.4032 0.4032 0.8007
Fe: 0.4320 0.2250 0.3723
Fe: 0.4320 0.2250 0.6277
Fe: 0.4645 0.1407 0.1752
Fe: 0.4645 0.1407 0.8248
Fe: 0.5000 0.0000 0.0000
Fe: 0.5000 0.0000 0.5000
Fe: 0.5000 0.5000 0.3827
Fe: 0.5000 0.5000 0.6173
Fe: 0.5355 0.8593 0.1752
Fe: 0.5355 0.8593 0.8248
Fe: 0.5680 0.7750 0.3723
Fe: 0.5680 0.7750 0.6277
Fe: 0.5968 0.5968 0.1993
Fe: 0.5968 0.5968 0.8007
Fe: 0.6407 0.0355 0.3248
Fe: 0.6407 0.0355 0.6752
Fe: 0.6823 0.3177 0.2528
Fe: 0.6823 0.3177 0.7472
Fe: 0.7250 0.0680 0.1277
Fe: 0.7250 0.0680 0.8723
Fe: 0.7750 0.5680 0.3723
Fe: 0.7750 0.5680 0.6277
Fe: 0.8177 0.8177 0.2472
Fe: 0.8177 0.8177 0.7528
Fe: 0.8593 0.5355 0.1752
Fe: 0.8593 0.5355 0.8248
Fe: 0.9032 0.0968 0.3007
Fe: 0.9032 0.0968 0.6993
Fe: 0.9320 0.2750 0.1277
Fe: 0.9320 0.2750 0.8723
Fe: 0.9645 0.3593 0.3248
Fe: 0.9645 0.3593 0.6752
B: 0.1238 0.8762 0.0000
B: 0.3762 0.3762 0.5000
B: 0.6238 0.6238 0.5000
B: 0.8762 0.1238 0.0000

Calculated values
magnetization	124.89	μB/cell

No. 2
DFT (GGA-PBE) results for a geometry-optimized SbPC3Cl5O structure.

Unit cell a=15.5522 b=8.0590 c=10.0097 alpha=90.00 beta=90.00 gamma=90.00
Sites, in units of the cell vectors:
Sb: 0.1522 0.2500 0.0974
Sb: 0.3478 0.7500 0.5974
Sb: 0.6522 0.2500 0.4026
Sb: 0.8478 0.7500 0.9026
P: 0.0696 0.2500 0.7643
P: 0.4304 0.7500 0.2643
P: 0.5696 0.2500 0.7357
P: 0.9304 0.7500 0.2357
C: 0.0249 0.2500 0.6085
C: 0.1195 0.1621 0.6139
C: 0.1195 0.3379 0.6139
C: 0.3805 0.6621 0.1139
C: 0.3805 0.8379 0.1139
C: 0.4751 0.7500 0.1085
C: 0.5249 0.2500 0.8915
C: 0.6195 0.1621 0.8861
C: 0.6195 0.3379 0.8861
C: 0.8805 0.6621 0.3861
C: 0.8805 0.8379 0.3861
C: 0.9751 0.7500 0.3915
Cl: 0.0190 0.2500 0.2145
Cl: 0.1434 0.5430 0.0752
Cl: 0.1434 0.9570 0.0752
Cl: 0.2426 0.2500 0.2833
Cl: 0.2437 0.7500 0.4212
Cl: 0.2563 0.2500 0.9212
Cl: 0.2574 0.7500 0.7833
Cl: 0.3566 0.0430 0.5752
Cl: 0.3566 0.4570 0.5752
Cl: 0.4810 0.7500 0.7145
Cl: 0.5190 0.2500 0.2855
Cl: 0.6434 0.5430 0.4248
Cl: 0.6434 0.9570 0.4248
Cl: 0.7426 0.2500 0.2167
Cl: 0.7437 0.7500 0.0788
Cl: 0.7563 0.2500 0.5788
Cl: 0.7574 0.7500 0.7167
Cl: 0.8566 0.0430 0.9248
Cl: 0.8566 0.4570 0.9248
Cl: 0.9810 0.7500 0.7855
O: 0.0547 0.2500 0.9122
O: 0.4453 0.7500 0.4122
O: 0.5547 0.2500 0.5878
O: 0.9453 0.7500 0.0878

Calculated values
energy relative to the lowest polymorph listed for this composition	492	meV per atom
total energy after the MP2020 corrections	-4.1632	eV/atom
magnetization	12.27	μB/cell

Energy of formation values (in meV/atom) by entry order: -80.0 511.3.